Record 1
# Ru2S4Cl13, relaxed, DFT GGA-PBE
# - Space-group type: No. 14
data_Ru2S4Cl13
_space_group_name_H-M_alt 'P 1'
_space_group_IT_number 1
_space_group_name_Hall 'P 1'
_cell_length_a 15.581
_cell_length_b 9.179
_cell_length_c 33.967
_cell_angle_alpha 83.81
_cell_angle_beta 90.00
_cell_angle_gamma 90.00
loop_
_atom_site_label
_atom_site_fract_x
_atom_site_fract_y
_atom_site_fract_z
Ru1 0.943 0.146 0.752
Ru2 0.721 0.883 0.504
Ru3 0.064 0.483 0.268
Ru4 0.786 0.585 0.919
Ru5 0.564 0.017 0.232
Ru6 0.286 0.915 0.581
Ru7 0.714 0.085 0.419
Ru8 0.057 0.854 0.248
Ru9 0.443 0.354 0.748
Ru10 0.779 0.383 0.004
Ru11 0.557 0.646 0.252
Ru12 0.936 0.517 0.732
Ru13 0.279 0.117 0.496
Ru14 0.436 0.983 0.768
Ru15 0.221 0.617 0.996
Ru16 0.214 0.415 0.081
Cl1 0.872 0.105 0.074
Cl2 0.445 0.288 0.927
Cl3 0.055 0.788 0.427
Cl4 0.891 0.067 0.983
Cl5 0.182 0.919 0.526
Cl6 0.609 0.567 0.483
Cl7 0.887 0.020 0.702
Cl8 0.076 0.860 0.623
Cl9 0.477 0.827 0.204
Cl10 0.389 0.945 0.526
Cl11 0.743 0.028 0.792
Cl12 0.825 0.331 0.734
Cl13 0.109 0.222 0.953
Cl14 0.567 0.603 0.682
Cl15 0.257 0.972 0.208
Cl16 0.700 0.421 0.839
Cl17 0.059 0.189 0.471
Cl18 0.243 0.472 0.708
Cl19 0.837 0.553 0.496
Cl20 0.433 0.397 0.318
Cl21 0.155 0.337 0.238
Cl22 0.399 0.885 0.832
Cl23 0.682 0.581 0.974
Cl24 0.163 0.447 0.504
Cl25 0.628 0.605 0.574
Cl26 0.924 0.140 0.377
Cl27 0.325 0.169 0.766
Cl28 0.407 0.038 0.413
Cl29 0.785 0.839 0.915
Cl30 0.285 0.627 0.893
Cl31 0.757 0.528 0.292
Cl32 0.601 0.115 0.168
Cl33 0.285 0.661 0.585
Cl34 0.655 0.163 0.262
Cl35 0.715 0.373 0.107
Cl36 0.800 0.921 0.339
Cl37 0.818 0.081 0.474
Cl38 0.611 0.055 0.474
Cl39 0.523 0.173 0.796
Cl40 0.101 0.433 0.125
Cl41 0.372 0.395 0.426
Cl42 0.945 0.212 0.573
Cl43 0.200 0.079 0.661
Cl44 0.113 0.980 0.298
Cl45 0.426 0.950 0.102
Cl46 0.424 0.360 0.123
Cl47 0.451 0.171 0.237
Cl48 0.093 0.538 0.913
Cl49 0.769 0.325 0.935
Cl50 0.300 0.579 0.161
Cl51 0.023 0.327 0.704
Cl52 0.559 0.311 0.029
Cl53 0.613 0.520 0.202
Cl54 0.977 0.673 0.296
Cl55 0.845 0.663 0.762
Cl56 0.215 0.127 0.393
Cl57 0.231 0.675 0.065
Cl58 0.899 0.567 0.875
Cl59 0.891 0.778 0.047
Cl60 0.889 0.555 0.974
Cl61 0.885 0.102 0.853
Cl62 0.907 0.462 0.087
Cl63 0.387 0.480 0.798
Cl64 0.128 0.895 0.926
Cl65 0.385 0.398 0.647
Cl66 0.615 0.602 0.353
Cl67 0.663 0.053 0.996
Cl68 0.175 0.669 0.266
Cl69 0.593 0.962 0.587
Cl70 0.715 0.339 0.415
Cl71 0.090 0.363 0.807
Cl72 0.910 0.637 0.193
Cl73 0.399 0.933 0.625
Cl74 0.785 0.873 0.607
Cl75 0.337 0.947 0.004
Cl76 0.109 0.933 0.017
Cl77 0.391 0.722 0.453
Cl78 0.074 0.450 0.602
Cl79 0.318 0.419 0.026
Cl80 0.675 0.831 0.234
Cl81 0.933 0.103 0.182
Cl82 0.101 0.385 0.332
Cl83 0.549 0.829 0.763
Cl84 0.111 0.445 0.026
Cl85 0.115 0.898 0.147
Cl86 0.067 0.897 0.818
Cl87 0.269 0.175 0.565
Cl88 0.555 0.712 0.073
Cl89 0.410 0.863 0.307
Cl90 0.609 0.278 0.547
Cl91 0.590 0.137 0.693
Cl92 0.576 0.640 0.877
Cl93 0.049 0.671 0.737
Cl94 0.941 0.811 0.529
Cl95 0.345 0.837 0.738
Cl96 0.731 0.825 0.435
Cl97 0.926 0.550 0.398
Cl98 0.391 0.433 0.517
Cl99 0.215 0.161 0.085
Cl100 0.899 0.615 0.668
Cl101 0.951 0.329 0.263
Cl102 0.601 0.067 0.375
Cl103 0.441 0.689 0.971
Cl104 0.574 0.050 0.898
S1 0.109 0.771 0.980
S2 0.951 0.379 0.608
S3 0.535 0.854 0.290
S4 0.628 0.506 0.301
S5 0.796 0.114 0.365
S6 0.049 0.621 0.392
S7 0.057 0.015 0.763
S8 0.872 0.006 0.801
S9 0.128 0.994 0.199
S10 0.609 0.729 0.520
S11 0.965 0.354 0.790
S12 0.035 0.646 0.210
S13 0.391 0.271 0.480
S14 0.786 0.492 0.061
S15 0.682 0.221 0.031
S16 0.704 0.614 0.865
S17 0.891 0.229 0.020
S18 0.465 0.146 0.710
S19 0.204 0.886 0.635
S20 0.296 0.386 0.135
S21 0.214 0.508 0.939
S22 0.286 0.008 0.439
S23 0.557 0.485 0.737
S24 0.451 0.121 0.892
S25 0.372 0.494 0.699
S26 0.714 0.992 0.561
S27 0.443 0.515 0.263
S28 0.549 0.879 0.108
S29 0.818 0.721 0.531
S30 0.318 0.779 0.969
S31 0.943 0.985 0.237
S32 0.182 0.279 0.469

---

Record 2
# SbCl3F2, relaxed, DFT GGA-PBE
# - Distance to the lowest polymorph of the same formula: 0.0000 eV per atom
# - Space-group type: No. 82
data_SbCl3F2
_space_group_name_H-M_alt 'P 1'
_space_group_IT_number 1
_space_group_name_Hall 'P 1'
_cell_length_a 10.162
_cell_length_b 10.162
_cell_length_c 10.162
_cell_angle_alpha 97.87
_cell_angle_beta 97.87
_cell_angle_gamma 136.56
loop_
_atom_site_label
_atom_site_fract_x
_atom_site_fract_y
_atom_site_fract_z
Cl1 0.803 0.704 0.499
Cl2 0.633 0.777 0.773
Cl3 0.206 0.304 0.501
Cl4 0.223 0.996 0.856
Cl5 0.868 0.452 0.297
Cl6 0.140 0.367 0.144
Cl7 0.548 0.845 0.415
Cl8 0.296 0.794 0.099
Cl9 0.155 0.570 0.703
Cl10 0.696 0.197 0.901
Cl11 0.430 0.132 0.585
Cl12 0.004 0.860 0.227
Sb1 0.532 0.267 0.828
Sb2 0.733 0.562 0.265
Sb3 0.297 0.468 0.735
Sb4 0.438 0.703 0.172
F1 0.776 0.536 0.840
F2 0.575 0.617 0.199
F3 0.383 0.581 0.958
F4 0.064 0.224 0.760
F5 0.624 0.425 0.042
F6 0.696 0.936 0.160
F7 0.464 0.304 0.240
F8 0.419 0.376 0.801

---

Record 3
# Ba4ZrO6, relaxed, DFT GGA-PBE
# - Space-group type: No. 167
data_Ba4ZrO6
_space_group_name_H-M_alt 'P 1'
_space_group_IT_number 1
_space_group_name_Hall 'P 1'
_cell_length_a 7.489
_cell_length_b 7.489
_cell_length_c 7.489
_cell_angle_alpha 89.58
_cell_angle_beta 89.58
_cell_angle_gamma 89.58
loop_
_atom_site_label
_atom_site_fract_x
_atom_site_fract_y
_atom_site_fract_z
O1 0.926 0.058 0.727
O2 0.773 0.442 0.574
O3 0.442 0.574 0.773
O4 0.942 0.273 0.074
O5 0.426 0.227 0.558
O6 0.058 0.727 0.926
O7 0.273 0.074 0.942
O8 0.574 0.773 0.442
O9 0.074 0.942 0.273
O10 0.727 0.926 0.058
O11 0.558 0.426 0.227
O12 0.227 0.558 0.426
Zr1 0.500 0.500 0.500
Zr2 0.000 0.000 0.000
Ba1 0.750 0.114 0.386
Ba2 0.250 0.886 0.614
Ba3 0.750 0.750 0.750
Ba4 0.614 0.250 0.886
Ba5 0.114 0.386 0.750
Ba6 0.386 0.750 0.114
Ba7 0.250 0.250 0.250
Ba8 0.886 0.614 0.250

---

| no. | volume (Å³/cell) | ΔE_f (meV/atom) | calculated total energy (eV per atom) |
| --- | --- | --- | --- |
| 1 | 4829.6 | -694.9 | -3.39 |
| 2 | 670.2 | -1457.2 | -3.55 |
| 3 | 420.1 | -3155.8 | -6.95 |